1.
16
Lattice="-2.3890 -3.9994 0.4914 0.9730 -1.2726 -5.6264 9.2047 -5.1593 2.7588" Properties=species:S:1:pos:R:3 comment="PBE Mg6FeW, optimized geometry" total_energy_ev_per_cell=-57.01 e_form_ev_per_atom=0.32 e_above_lowest_polymorph_ev_per_fu=0.00 pbc="T T T"
Mg 1.0041 -0.7534 -1.2498
Mg 1.4672 -1.3590 -3.9275
Mg 3.0043 -1.6839 0.9004
Mg 3.4221 -5.1269 -2.7617
Mg 2.9511 -4.5110 -0.0387
Mg 0.3759 -2.8799 0.7164
Mg 6.0930 -3.9693 -2.6836
Mg 5.5830 -3.3023 0.2651
Mg 8.0932 -4.8999 -0.5334
Mg 7.5379 -7.0703 1.4309
Mg 8.0400 -7.7269 -1.4725
Mg 5.4647 -6.0959 -0.7174
Fe 3.2683 -2.1955 -1.9794
Fe 7.3842 -4.1389 2.2131
W 1.0574 -3.6255 -2.0384
W 5.1732 -5.5689 2.1542


2.
16
Lattice="-4.4466 3.4171 -3.0761 3.9628 -3.7918 -3.2907 -6.6020 -7.7299 0.9566" Properties=species:S:1:pos:R:3 comment="PBE YMg14Fe, optimized geometry" total_energy_ev_per_cell=-35.93 space_group="No. 187" e_form_ev_per_atom=0.09 e_above_lowest_polymorph_ev_per_fu=0.00 pbc="T T T"
Y -0.2454 -1.6607 -1.4900
Mg 1.7077 -3.5391 -3.1896
Mg -1.5539 -7.4284 -2.6358
Mg -2.4887 0.0718 -2.9726
Mg -5.7619 -3.8265 -2.5715
Mg -0.4389 -1.8895 -4.6747
Mg -3.8072 -5.6968 -4.1947
Mg -3.3558 -2.5335 -1.2023
Mg -6.4676 -6.1769 -0.7515
Mg -1.4256 -4.3804 -2.8051
Mg -4.5374 -8.0238 -2.3543
Mg -5.6366 -0.7808 -2.7802
Mg -8.7484 -4.4242 -2.3293
Mg -3.4905 -2.5218 -4.4056
Mg -6.8892 -6.5012 -3.9132
Fe -3.5464 -5.5256 -1.0117


3.
16
Lattice="6.4292 0.1647 0.0000 -3.0720 5.3208 0.0000 0.0000 0.0000 10.2162" Properties=species:S:1:pos:R:3 comment="PBE YMg14Fe, optimized geometry" total_energy_ev_per_cell=-35.82 space_group="No. 38" e_form_ev_per_atom=0.10 e_above_lowest_polymorph_ev_per_fu=0.11 pbc="T T T"
Y -0.0753 1.7301 1.2770
Mg 0.0621 1.8094 6.3851
Mg -1.5180 4.4444 6.3851
Mg 3.1434 1.7421 1.2770
Mg 3.2290 1.8950 6.3851
Mg 1.5444 4.5116 1.2770
Mg 1.7197 4.5093 6.3851
Mg 1.6700 0.9200 3.7961
Mg 1.6700 0.9200 8.9742
Mg 0.0957 3.6467 3.7961
Mg 0.0957 3.6467 8.9742
Mg 4.8654 1.0355 3.9529
Mg 4.8654 1.0355 8.8173
Mg 3.4666 3.7751 3.5370
Mg 3.4666 3.7751 9.2332
Fe -1.4432 4.4876 1.2770


4.
16
Lattice="-4.3888 -0.4468 1.8967 2.2194 -3.6318 4.2799 1.7816 8.2322 6.0618" Properties=species:S:1:pos:R:3 comment="PBE Mg6ZnFe, optimized geometry" total_energy_ev_per_cell=-36.60 e_form_ev_per_atom=0.13 pbc="T T T"
Mg 0.7558 -0.2000 1.7018
Mg 1.7950 -1.9004 3.7057
Mg 2.5976 5.0592 7.2025
Mg -0.0297 6.4078 7.5195
Mg 1.1121 4.5394 9.7214
Mg 0.1006 3.4378 7.1214
Mg 2.7563 2.1002 6.8727
Mg 1.5761 4.0316 4.5967
Mg 0.5971 2.7590 2.0316
Mg 0.1892 0.4758 6.6285
Mg -0.8884 2.2392 4.5506
Mg -1.8999 1.1376 1.9505
Zn 1.6837 0.8364 4.0929
Zn 1.4648 6.7684 4.9839
Fe -0.7889 -0.6723 4.0949
Fe -1.0077 5.2597 4.9859


5.
16
Lattice="-6.1892 0.8066 0.0894 2.5032 -4.9735 -2.9204 -0.5548 -5.1818 8.3492" Properties=species:S:1:pos:R:3 comment="PBE Mg14ZnFe, optimized geometry" total_energy_ev_per_cell=-30.44 space_group="No. 38" e_form_ev_per_atom=0.11 e_above_lowest_polymorph_ev_per_fu=0.06 pbc="T T T"
Mg -0.5718 -4.7715 4.2519
Mg 0.6880 -7.2555 2.7940
Mg -3.4587 -1.8022 0.1019
Mg -3.6170 -4.3644 4.3022
Mg -2.2081 -4.2870 -1.3571
Mg -2.3766 -6.8290 2.8551
Mg -1.7973 -2.3261 2.5116
Mg -2.1011 -5.1636 7.0836
Mg -0.5122 -4.8795 1.0122
Mg -0.8159 -7.7171 5.5842
Mg -4.9485 -2.1050 2.7272
Mg -5.2248 -4.6855 6.8851
Mg -3.7367 -4.5532 1.1673
Mg -4.0245 -7.2417 5.4993
Zn -0.2363 -2.1608 0.0935
Fe 1.0154 -4.6475 -1.3667


6.
8
Lattice="0.6247 -0.4009 6.0561 -4.2277 -3.3824 -2.8131 3.1705 -3.4982 -0.5586" Properties=species:S:1:pos:R:3 comment="PBE Mg6ZnFe, optimized geometry" total_energy_ev_per_cell=-18.31 space_group="No. 38" e_form_ev_per_atom=0.13 pbc="T T T"
Mg 1.0949 -2.4409 1.2695
Mg -0.7155 -4.3418 2.8989
Mg -1.3575 -1.2376 0.0456
Mg -3.1079 -3.0756 1.6211
Mg -0.9751 -1.3839 3.1320
Mg -3.3788 -2.8609 -1.2616
Zn 1.3995 -2.6480 4.2955
Fe -1.0305 -4.1411 -0.1461


Repeat the fourth record exactly.
16
Lattice="-4.3888 -0.4468 1.8967 2.2194 -3.6318 4.2799 1.7816 8.2322 6.0618" Properties=species:S:1:pos:R:3 comment="PBE Mg6ZnFe, optimized geometry" total_energy_ev_per_cell=-36.60 e_form_ev_per_atom=0.13 pbc="T T T"
Mg 0.7558 -0.2000 1.7018
Mg 1.7950 -1.9004 3.7057
Mg 2.5976 5.0592 7.2025
Mg -0.0297 6.4078 7.5195
Mg 1.1121 4.5394 9.7214
Mg 0.1006 3.4378 7.1214
Mg 2.7563 2.1002 6.8727
Mg 1.5761 4.0316 4.5967
Mg 0.5971 2.7590 2.0316
Mg 0.1892 0.4758 6.6285
Mg -0.8884 2.2392 4.5506
Mg -1.8999 1.1376 1.9505
Zn 1.6837 0.8364 4.0929
Zn 1.4648 6.7684 4.9839
Fe -0.7889 -0.6723 4.0949
Fe -1.0077 5.2597 4.9859


Q: Number 4 is which compound?
A: Mg6ZnFe


What did the first record say?
16
Lattice="-2.3890 -3.9994 0.4914 0.9730 -1.2726 -5.6264 9.2047 -5.1593 2.7588" Properties=species:S:1:pos:R:3 comment="PBE Mg6FeW, optimized geometry" total_energy_ev_per_cell=-57.01 e_form_ev_per_atom=0.32 e_above_lowest_polymorph_ev_per_fu=0.00 pbc="T T T"
Mg 1.0041 -0.7534 -1.2498
Mg 1.4672 -1.3590 -3.9275
Mg 3.0043 -1.6839 0.9004
Mg 3.4221 -5.1269 -2.7617
Mg 2.9511 -4.5110 -0.0387
Mg 0.3759 -2.8799 0.7164
Mg 6.0930 -3.9693 -2.6836
Mg 5.5830 -3.3023 0.2651
Mg 8.0932 -4.8999 -0.5334
Mg 7.5379 -7.0703 1.4309
Mg 8.0400 -7.7269 -1.4725
Mg 5.4647 -6.0959 -0.7174
Fe 3.2683 -2.1955 -1.9794
Fe 7.3842 -4.1389 2.2131
W 1.0574 -3.6255 -2.0384
W 5.1732 -5.5689 2.1542